Pr2Ni3P4: optimized geometry, meta-GGA r2SCAN.

Properties
calculated volume: 16.23 A^3/atom
formation energy: -1.06 eV per atom

Cell and atoms, written as CIF:
```
data_Pr2Ni3P4
_cell_length_a 3.973
_cell_length_b 3.973
_cell_length_c 9.253
_cell_angle_alpha 90.00
_cell_angle_beta 90.00
_cell_angle_gamma 90.00
_space_group_name_H-M_alt 'P -4 m 2'
_space_group_IT_number 115
loop_
_space_group_symop_operation_xyz
'x,y,z'
'y,-x,-z'
'-x,-y,z'
'-y,x,-z'
'-x,y,z'
'-y,-x,-z'
'x,-y,z'
'y,x,-z'
loop_
_atom_site_label
_atom_site_type_symbol
_atom_site_fract_x
_atom_site_fract_y
_atom_site_fract_z
Pr1 Pr 0.000 0.500 0.237
Ni1 Ni 0.000 0.000 0.000
Ni2 Ni 0.000 0.000 0.500
Ni3 Ni 0.500 0.500 0.500
P1 P 0.000 0.500 0.622
P2 P 0.000 0.500 0.878
```